23
Lattice="6.5328 0.1277 0.0000 -2.2328 6.0847 0.0000 0.0000 0.0000 7.3708" Properties=species:S:1:pos:R:3 comment="LiEr6Ta2O14 (GGA-PBE, relaxed)" vol_a3_per_fu=295.09 relative_energy_ev_per_fu=0.00 spacegroup=Pm crystal_system=monoclinic formation_energy_ev_per_atom=-3.6816 pbc="T T T"
O 2.4154 0.9568 3.9208
O 5.4061 0.8439 1.8427
O 0.2145 2.3784 7.3478
O -1.0545 5.1334 5.5281
O 4.1425 3.4343 3.5662
O 5.3732 0.7526 5.5281
O 2.4154 0.9568 7.1354
O 4.1425 3.4343 0.1192
O -1.0296 5.2604 1.8427
O 0.2145 2.3784 3.7084
O 1.8563 4.8788 3.3256
O 2.2342 2.5382 1.8427
O 1.4667 3.6195 5.5281
O 1.8563 4.8788 0.3598
Ta 2.2359 2.9784 7.2430
Ta 2.2359 2.9784 3.8131
Er 1.1489 5.8266 5.5281
Er 0.2312 0.1333 3.7486
Er 3.2130 0.2831 1.8427
Er 0.2312 0.1333 7.3075
Er -0.8280 2.9578 1.8427
Er 5.4399 3.0586 5.5281
Li 3.1842 4.6367 1.8427



16
Lattice="2.0339 -6.1653 0.0000 2.0339 6.1653 0.0000 0.0000 0.0000 10.4215" Properties=species:S:1:pos:R:3 comment="TiBi2O5 (GGA-PBE, relaxed)" vol_a3_per_fu=130.68 relative_energy_ev_per_fu=0.74 spacegroup=Cmcm crystal_system=orthorhombic formation_energy_ev_per_atom=-2.2786 pbc="T T T"
O 2.0339 2.7481 0.8751
O 2.0339 -2.5790 2.6054
O 2.0339 -5.3918 9.1675
O 2.0339 -2.7481 9.5464
O 2.0339 -5.3918 6.4648
O 2.0339 2.7481 4.3357
O 2.0339 5.3918 3.9567
O 2.0339 5.3918 1.2540
O 2.0339 2.5790 7.8161
O 2.0339 -2.7481 6.0859
Bi 2.0339 4.4020 5.9776
Bi 2.0339 -4.4020 0.7668
Bi 2.0339 -4.4020 4.4439
Bi 2.0339 4.4020 9.6547
Ti 2.0339 -4.1419 7.8161
Ti 2.0339 4.1419 2.6054



118
Lattice="0.0000 0.0000 -13.0448 0.0000 -13.0289 4.3483 -11.2834 6.5144 4.3483" Properties=species:S:1:pos:R:3 comment="Na8Y3Si12O36 (GGA-PBE, relaxed)" vol_a3_per_fu=958.86 spacegroup=R-3c crystal_system=trigonal formation_energy_ev_per_atom=-2.8197 pbc="T T T"
O -8.8920 1.5523 -1.1469
O -10.5525 -2.4187 4.9946
O -3.1017 -4.5520 -7.5497
O -3.9124 1.4150 -2.8205
O -8.8920 -1.5523 -5.3755
O -8.6386 -3.1303 0.7292
O -5.7904 -6.9246 1.1469
O -1.5997 -0.9226 -4.8459
O -0.0008 -1.8466 -8.1989
O -7.0303 -5.9161 -5.7932
O -5.7904 -6.1043 -3.3210
O -3.9124 -1.4150 -3.7019
O -3.1816 -2.6808 -10.2243
O -5.0184 -5.3964 3.0693
O -11.2825 -4.6678 3.8507
O -2.3913 -4.9621 1.0273
O -3.1017 -8.4769 -7.6693
O -5.4930 -0.4101 -1.0273
O -0.6575 -3.9267 -6.6113
O -4.2531 0.5983 -7.9674
O -8.1017 3.8337 0.6463
O -8.2115 -3.9816 -4.4371
O -0.0008 -11.1823 -7.0200
O -9.1191 0.5298 -7.8013
O -4.1008 -4.8666 -0.8952
O -2.1642 -5.9846 -5.6272
O -8.1817 -1.9625 3.2014
O -9.6750 2.5320 -3.6191
O -2.1642 -7.0442 3.4531
O -7.0303 -7.1128 3.6191
O -8.1017 -3.8337 5.8761
O -2.6447 -3.3841 -5.0774
O -8.1817 1.9625 3.3210
O -9.6837 -5.5919 0.4976
O -5.0184 -7.6325 -5.2435
O -0.7308 -4.0957 -9.3429
O -7.1826 1.6479 -3.0693
O -8.2115 3.9816 -2.0853
O -10.6258 -2.5877 2.2630
O -10.5525 2.4187 1.5278
O -11.2825 4.6678 2.6717
O -8.6386 3.1303 -7.2516
O -9.6750 -2.5320 -2.9033
O -3.1816 -10.3481 -4.9946
O -3.7294 1.3939 -0.0889
O -3.7294 -1.3939 -6.4335
O -6.2650 1.1181 0.8952
O -0.6575 -9.1022 -8.6077
O -0.7308 -8.9331 -5.8761
O -6.2650 -1.1181 -7.4176
O -1.5988 -12.1049 -3.8507
O -9.6845 5.5904 -0.4976
O -4.2531 -0.5983 1.4450
O -1.6084 -3.9824 -1.4450
O -2.6447 -9.6448 2.9033
O -4.1008 -8.1623 -1.2789
O -1.5988 -0.9240 -11.3683
O -7.3709 -7.9294 -1.5278
O -1.5997 0.9226 -1.6765
O -9.1191 -0.5298 1.2789
O -3.0719 -2.5328 0.0889
O -10.6258 2.5877 4.2594
O -9.6837 -7.4370 -2.6717
O -7.1826 -1.6479 -3.4531
O -3.0719 -10.4961 -2.2630
O -9.6845 -5.5904 7.0200
O -7.5539 -7.9084 -4.2594
O -7.5539 -5.1205 2.0853
O -2.3913 -8.0668 -3.2014
O -1.6084 -9.0464 -0.7292
O -5.4930 0.4101 -5.4951
O -7.3709 -5.0995 -0.6463
Si -8.2998 -4.7455 0.6407
Si -4.9722 0.3522 0.3070
Si -4.9722 -0.3522 -6.8294
Si -9.1022 2.0323 -8.3895
Si -3.0237 -1.6993 1.5334
Si -8.2998 4.7455 -7.1631
Si -6.3111 -6.1622 2.4811
Si -0.0402 -3.4682 -1.5334
Si -8.2597 -8.2138 3.7076
Si -2.7911 -4.1300 -0.3070
Si -3.0237 1.6993 -8.0558
Si -2.7911 -8.8989 -1.8671
Si -2.9835 -11.2600 2.8148
Si -2.9835 -1.7689 -4.9890
Si -0.0402 -9.5606 -0.6407
Si -11.2432 3.0462 -3.7076
Si -6.3111 -6.8666 -4.6553
Si -8.2597 -4.8151 -5.8817
Si -2.1811 -4.4822 -6.2154
Si -8.4922 2.3845 -2.4811
Si -8.4922 -2.3845 -4.0413
Si -2.1811 -8.5467 4.0413
Si -9.1022 -2.0323 1.8671
Si -11.2432 -3.0462 -2.8148
Na -2.3998 -1.4090 -8.4136
Na 0.0000 0.0000 0.0000
Na 0.0000 0.0000 -3.2612
Na -11.2631 -3.7316 6.8054
Na 0.0000 0.0000 -9.7836
Na 0.0000 0.0000 -6.5224
Na -0.0203 -2.7828 -11.1536
Na -0.0203 -10.2461 -4.0653
Na -8.8632 -7.8883 0.2830
Na -8.8835 -5.1055 4.0653
Na -2.3998 -11.6199 -6.8054
Na -2.4201 1.3738 -4.6312
Na -11.2631 3.7316 -0.2830
Na -8.8632 -5.1406 -2.4571
Na -8.8835 5.1055 2.4571
Na -2.4201 -1.3738 -1.8912
Y -8.4384 1.5868 1.0871
Y -2.8450 -4.9276 3.2612
Y -2.8450 -8.1013 -5.4353
Y -5.6899 0.0000 -3.2612
Y -8.4384 -1.5868 -7.6095
Y -5.5934 -6.5145 -1.0871



15
Lattice="7.6522 0.3034 5.8691 -7.8833 5.1593 2.0808 -1.2544 -2.6311 1.7714" Properties=species:S:1:pos:R:3 comment="Nb6SnS8 (GGA-PBE, relaxed)" vol_a3_per_fu=274.99 spacegroup=P-3 crystal_system=trigonal formation_energy_ev_per_atom=-1.2423 pbc="T T T"
Sn -0.6272 -1.3155 0.8857
Nb -0.1658 0.1103 4.9653
Nb -3.2946 1.8868 2.1181
Nb 2.9593 -1.2009 5.2307
Nb 1.8091 0.9448 7.6032
Nb -4.4447 4.0325 4.4906
Nb -1.3197 2.7213 4.7560
S 1.2266 -1.5925 3.4381
S 2.1605 1.2650 5.0487
S -0.8078 1.1849 2.8205
S -2.7120 4.4241 6.2832
S -3.6459 1.5666 4.6726
S -5.5300 3.0508 2.2480
S 4.0446 -0.2192 7.4732
S -0.6777 1.6467 6.9008



14
Lattice="-0.0583 0.1689 -3.3656 -5.9029 -1.4471 0.0297 -2.4565 10.0314 0.5461" Properties=species:S:1:pos:R:3 comment="Sr2HfO4 (GGA-PBE, relaxed)" vol_a3_per_fu=105.92 relative_energy_ev_per_fu=0.28 spacegroup=Pbam crystal_system=orthorhombic formation_energy_ev_per_atom=-3.5563 pbc="T T T"
O -1.2257 1.6588 0.1045
O -3.8593 6.3300 0.3846
O -3.6275 9.3519 -1.1552
O -2.8434 4.2273 -1.4261
O -7.1337 6.9254 0.4713
O -5.5744 4.5259 -1.3637
O -4.5002 2.2543 0.1912
O -4.7902 -0.5987 -1.6345
Sr -5.3865 7.4973 -1.2178
Sr -6.3297 1.9492 -1.4800
Sr -3.0313 1.2559 -1.5719
Sr -2.0881 6.8040 -1.3098
Hf 0.0000 0.0000 0.0000
Hf -4.1797 4.2921 0.2879



10
Lattice="0.0000 6.3687 6.3687 6.3687 0.0000 6.3687 6.3687 6.3687 0.0000" Properties=species:S:1:pos:R:3 comment="Cs2RbAsI6 (GGA-PBE, relaxed)" vol_a3_per_fu=516.63 spacegroup=Fm-3m crystal_system=cubic formation_energy_ev_per_atom=-1.1924 pbc="T T T"
I 2.8811 6.3687 6.3687
I 6.3687 6.3687 2.8811
I 9.8563 6.3687 6.3687
I 6.3687 6.3687 9.8563
I 6.3687 2.8811 6.3687
I 6.3687 9.8563 6.3687
Cs 3.1843 3.1843 3.1843
Cs 9.5530 9.5530 9.5530
Rb 6.3687 6.3687 6.3687
As 0.0000 0.0000 0.0000